Material: Nb2Ni21B6
Method: DFT, PBE-GGA
State: relaxed

Cell lengths 7.4450, 7.4450, 7.4450 Å; angles 60.00, 60.00, 60.00 degrees
Element x y z (fractional)
Nb: 0.2500 0.2500 0.2500
Nb: 0.7500 0.7500 0.7500
Ni: 0.0000 0.0000 0.0000
Ni: 0.0000 0.0000 0.3405
Ni: 0.0000 0.0000 0.6595
Ni: 0.0000 0.3405 0.0000
Ni: 0.0000 0.3405 0.6595
Ni: 0.0000 0.6595 0.0000
Ni: 0.0000 0.6595 0.3405
Ni: 0.1538 0.6154 0.6154
Ni: 0.3405 0.0000 0.0000
Ni: 0.3405 0.0000 0.6595
Ni: 0.3405 0.6595 0.0000
Ni: 0.3846 0.3846 0.3846
Ni: 0.3846 0.3846 0.8462
Ni: 0.3846 0.8462 0.3846
Ni: 0.6154 0.1538 0.6154
Ni: 0.6154 0.6154 0.1538
Ni: 0.6154 0.6154 0.6154
Ni: 0.6595 0.0000 0.0000
Ni: 0.6595 0.0000 0.3405
Ni: 0.6595 0.3405 0.0000
Ni: 0.8462 0.3846 0.3846
B: 0.2674 0.2674 0.7326
B: 0.2674 0.7326 0.2674
B: 0.2674 0.7326 0.7326
B: 0.7326 0.2674 0.2674
B: 0.7326 0.2674 0.7326
B: 0.7326 0.7326 0.2674

Summary:
Its symmetry is Fm-3m, No. 225. The calculated formation energy is -30.7 kJ per mole of atoms.

=====

Material: DyCu5
Method: DFT, PBE-GGA
State: relaxed

Cell lengths 4.9966, 4.9966, 4.1312 Å; angles 90.00, 90.00, 120.00 degrees
Element x y z (fractional)
Dy: 0.0000 0.0000 0.0000
Cu: 0.0000 0.5000 0.5000
Cu: 0.3333 0.6667 0.0000
Cu: 0.5000 0.0000 0.5000
Cu: 0.5000 0.5000 0.5000
Cu: 0.6667 0.3333 0.0000

Summary:
Its symmetry is P6/mmm, No. 191. The calculated formation energy is -18.4 kJ per mole of atoms.

=====

Material: SiO2
Method: DFT, PBE-GGA
State: relaxed

Cell lengths 15.9873, 15.9873, 15.9873 Å; angles 109.47, 109.47, 109.47 degrees
Element x y z (fractional)
Si: 0.1209 0.4243 0.6966
Si: 0.1209 0.6966 0.4243
Si: 0.2723 0.5757 0.6966
Si: 0.2723 0.6966 0.5757
Si: 0.3034 0.4243 0.7277
Si: 0.3034 0.5757 0.8791
Si: 0.3034 0.7277 0.4243
Si: 0.3034 0.8791 0.5757
Si: 0.4243 0.1209 0.6966
Si: 0.4243 0.3034 0.7277
Si: 0.4243 0.6966 0.1209
Si: 0.4243 0.7277 0.3034
Si: 0.5757 0.2723 0.6966
Si: 0.5757 0.3034 0.8791
Si: 0.5757 0.6966 0.2723
Si: 0.5757 0.8791 0.3034
Si: 0.6966 0.1209 0.4243
Si: 0.6966 0.2723 0.5757
Si: 0.6966 0.4243 0.1209
Si: 0.6966 0.5757 0.2723
Si: 0.7277 0.3034 0.4243
Si: 0.7277 0.4243 0.3034
Si: 0.8791 0.3034 0.5757
Si: 0.8791 0.5757 0.3034
O: 0.0000 0.3526 0.6474
O: 0.0000 0.6474 0.3526
O: 0.1482 0.5000 0.6482
O: 0.1482 0.6482 0.5000
O: 0.1780 0.3559 0.6780
O: 0.1780 0.5000 0.8220
O: 0.1780 0.6780 0.3559
O: 0.1780 0.8220 0.5000
O: 0.2948 0.6474 0.6474
O: 0.3220 0.5000 0.6780
O: 0.3220 0.6441 0.8220
O: 0.3220 0.6780 0.5000
O: 0.3220 0.8220 0.6441
O: 0.3518 0.5000 0.8518
O: 0.3518 0.8518 0.5000
O: 0.3526 0.0000 0.6474
O: 0.3526 0.3526 0.7052
O: 0.3526 0.6474 0.0000
O: 0.3526 0.7052 0.3526
O: 0.3559 0.1780 0.6780
O: 0.3559 0.6780 0.1780
O: 0.5000 0.1482 0.6482
O: 0.5000 0.1780 0.8220
O: 0.5000 0.3220 0.6780
O: 0.5000 0.3518 0.8518
O: 0.5000 0.6482 0.1482
O: 0.5000 0.6780 0.3220
O: 0.5000 0.8220 0.1780
O: 0.5000 0.8518 0.3518
O: 0.6441 0.3220 0.8220
O: 0.6441 0.8220 0.3220
O: 0.6474 0.0000 0.3526
O: 0.6474 0.2948 0.6474
O: 0.6474 0.3526 0.0000
O: 0.6474 0.6474 0.2948
O: 0.6482 0.1482 0.5000
O: 0.6482 0.5000 0.1482
O: 0.6780 0.1780 0.3559
O: 0.6780 0.3220 0.5000
O: 0.6780 0.3559 0.1780
O: 0.6780 0.5000 0.3220
O: 0.7052 0.3526 0.3526
O: 0.8220 0.1780 0.5000
O: 0.8220 0.3220 0.6441
O: 0.8220 0.5000 0.1780
O: 0.8220 0.6441 0.3220
O: 0.8518 0.3518 0.5000
O: 0.8518 0.5000 0.3518

Summary:
Its symmetry is Im-3m, No. 229. The calculated formation energy is -302.2 kJ per mole of atoms.

=====

Material: Ba8Ce3Sb4O24
Method: DFT, PBE-GGA
State: relaxed

Cell lengths 10.5358, 10.5358, 10.5358 Å; angles 131.97, 131.97, 70.27 degrees
Element x y z (fractional)
Ba: 0.1135 0.1135 0.4593
Ba: 0.1135 0.6542 0.0000
Ba: 0.3458 0.3458 0.4593
Ba: 0.3458 0.8865 0.0000
Ba: 0.6542 0.1135 0.0000
Ba: 0.6542 0.6542 0.5407
Ba: 0.8865 0.3458 0.0000
Ba: 0.8865 0.8865 0.5407
Ce: 0.2500 0.7500 0.5000
Ce: 0.5000 0.5000 0.0000
Ce: 0.7500 0.2500 0.5000
Sb: 0.0000 0.5000 0.5000
Sb: 0.2553 0.2553 0.0000
Sb: 0.5000 0.0000 0.5000
Sb: 0.7447 0.7447 0.0000
O: 0.0000 0.2725 0.2725
O: 0.0000 0.7275 0.7275
O: 0.0149 0.2538 0.7612
O: 0.1197 0.6197 0.5000
O: 0.1410 0.1410 0.0000
O: 0.2395 0.5000 0.7395
O: 0.2538 0.0149 0.7612
O: 0.2538 0.4926 0.2388
O: 0.2725 0.0000 0.2725
O: 0.3709 0.3709 0.0000
O: 0.3803 0.8803 0.5000
O: 0.4926 0.2538 0.2388
O: 0.5000 0.2395 0.7395
O: 0.5000 0.7605 0.2605
O: 0.5074 0.7462 0.7612
O: 0.6197 0.1197 0.5000
O: 0.6291 0.6291 0.0000
O: 0.7275 0.0000 0.7275
O: 0.7462 0.5074 0.7612
O: 0.7462 0.9851 0.2388
O: 0.7605 0.5000 0.2605
O: 0.8590 0.8590 0.0000
O: 0.8803 0.3803 0.5000
O: 0.9851 0.7462 0.2388

Summary:
Its symmetry is I4/mmm, No. 139. The calculated formation energy is -288.7 kJ per mole of atoms.

=====

Material: K5Na3Ta5Nb3O24
Method: DFT, PBE-GGA
State: relaxed

Cell lengths 8.0386, 8.0392, 8.0400 Å; angles 90.00, 90.00, 90.00 degrees
Element x y z (fractional)
K: 0.0000 0.0000 0.0000
K: 0.0000 0.0000 0.5003
K: 0.0000 0.4999 0.0000
K: 0.0000 0.4999 0.5003
K: 0.5001 0.0000 0.0000
Na: 0.5001 0.0000 0.5002
Na: 0.5001 0.5000 0.0001
Na: 0.5001 0.5000 0.5002
Ta: 0.2508 0.2502 0.2504
Ta: 0.2508 0.7497 0.2504
Ta: 0.2508 0.7497 0.7499
Ta: 0.7493 0.2502 0.2504
Ta: 0.7493 0.7497 0.2504
Nb: 0.2508 0.2502 0.7499
Nb: 0.7493 0.2502 0.7499
Nb: 0.7494 0.7497 0.7499
O: 0.0001 0.2500 0.2502
O: 0.0001 0.2500 0.7501
O: 0.0001 0.7499 0.2502
O: 0.0011 0.7499 0.7501
O: 0.2509 0.9999 0.2509
O: 0.2509 0.2507 0.0013
O: 0.2509 0.7492 0.0003
O: 0.2509 0.9989 0.7494
O: 0.2515 0.2500 0.4990
O: 0.2515 0.5000 0.2502
O: 0.2515 0.5010 0.7501
O: 0.2515 0.7499 0.5000
O: 0.4990 0.7493 0.7494
O: 0.5000 0.2507 0.2508
O: 0.5000 0.2507 0.7494
O: 0.5000 0.7493 0.2508
O: 0.7492 0.0000 0.2509
O: 0.7492 0.9999 0.7494
O: 0.7486 0.2500 0.4989
O: 0.7492 0.2507 0.0014
O: 0.7486 0.5000 0.2502
O: 0.7486 0.5000 0.7501
O: 0.7492 0.7492 0.0013
O: 0.7486 0.7499 0.4990

Summary:
Its symmetry is P1, No. 1. The calculated formation energy is -287.2 kJ per mole of atoms.

=====

Material: Ba2YBiO6
Method: DFT, PBE-GGA
State: relaxed

Cell lengths 8.7205, 8.7205, 8.7205 Å; angles 90.00, 90.00, 90.00 degrees
Element x y z (fractional)
Ba: 0.2500 0.2500 0.2500
Ba: 0.2500 0.2500 0.7500
Ba: 0.2500 0.7500 0.2500
Ba: 0.2500 0.7500 0.7500
Ba: 0.7500 0.2500 0.2500
Ba: 0.7500 0.2500 0.7500
Ba: 0.7500 0.7500 0.2500
Ba: 0.7500 0.7500 0.7500
Y: 0.0000 0.0000 0.0000
Y: 0.0000 0.5000 0.5000
Y: 0.5000 0.0000 0.5000
Y: 0.5000 0.5000 0.0000
Bi: 0.0000 0.0000 0.5000
Bi: 0.0000 0.5000 0.0000
Bi: 0.5000 0.0000 0.0000
Bi: 0.5000 0.5000 0.5000
O: 0.0169 0.5179 0.7562
O: 0.0169 0.9821 0.7438
O: 0.0179 0.2438 0.5169
O: 0.0179 0.2562 0.9831
O: 0.2438 0.5169 0.0179
O: 0.2438 0.9831 0.4821
O: 0.2562 0.5169 0.4821
O: 0.2562 0.9831 0.0179
O: 0.4821 0.2438 0.9831
O: 0.4821 0.2562 0.5169
O: 0.4831 0.5179 0.7438
O: 0.4831 0.9821 0.7562
O: 0.5169 0.0179 0.2438
O: 0.5169 0.4821 0.2562
O: 0.5179 0.7438 0.4831
O: 0.5179 0.7562 0.0169
O: 0.7438 0.0169 0.9821
O: 0.7438 0.4831 0.5179
O: 0.7562 0.0169 0.5179
O: 0.7562 0.4831 0.9821
O: 0.9821 0.7438 0.0169
O: 0.9821 0.7562 0.4831
O: 0.9831 0.0179 0.2562
O: 0.9831 0.4821 0.2438

Summary:
Its symmetry is Pn-3, No. 201. The calculated formation energy is -271.6 kJ per mole of atoms.